# Li2Cr5P4O16 | the Materials Project database | PBE+U | relaxed
data_Li2Cr5P4O16
_space_group_name_H-M_alt 'P -1'
_space_group_IT_number 2
_cell_length_a 5.467
_cell_length_b 8.076
_cell_length_c 8.534
_cell_angle_alpha 65.06
_cell_angle_beta 88.60
_cell_angle_gamma 78.69
loop_
_space_group_symop_operation_xyz
'x,y,z'
'-x,-y,-z'
loop_
_atom_site_label
_atom_site_fract_x
_atom_site_fract_y
_atom_site_fract_z
_atom_site_occupancy
Li1 0.142 0.407 0.275 1
Cr1 0.165 0.082 0.682 1
Cr2 0.378 0.749 0.217 1
Cr3 0.500 0.500 0.000 1
P1 0.140 0.201 0.020 1
P2 0.372 0.709 0.580 1
O1 0.125 0.690 0.056 1
O2 0.134 0.004 0.168 1
O3 0.211 0.668 0.458 1
O4 0.213 0.854 0.630 1
O5 0.271 0.307 0.095 1
O6 0.288 0.167 0.873 1
O7 0.376 0.243 0.496 1
O8 0.448 0.520 0.750 1
# ΔH_f (0 K): -2.48 eV per atom
# energy: -7.3652 eV per atom